A relaxed Al2Se3O12 crystal. Source: Materials Project, functional GGA-PBE.

Cell: 12.2026 8.7096 8.7821 Å, 90.00 90.00 90.00°
Last column: nearest neighbours and their distance in Å.
Atoms (fractional coordinates):
Al1 0.1156 0.2487 0.0358  6 O 1.88-1.92
Al2 0.1156 0.7513 0.5358  6 O 1.88-1.92
Al3 0.3844 0.2513 0.5358  6 O 1.88-1.92
Al4 0.3844 0.7487 0.0358  6 O 1.88-1.92
Al5 0.6156 0.2513 0.9642  6 O 1.88-1.92
Al6 0.6156 0.7487 0.4642  6 O 1.88-1.92
Al7 0.8844 0.2487 0.4642  6 O 1.88-1.92
Al8 0.8844 0.7513 0.9642  6 O 1.88-1.92
Se1 0.0000 0.4762 0.7500  4 O 1.64-1.67
Se2 0.0000 0.5238 0.2500  4 O 1.64-1.67
Se3 0.1480 0.1037 0.3825  4 O 1.65-1.67
Se4 0.1480 0.8963 0.8825  4 O 1.65-1.67
Se5 0.3520 0.3963 0.8825  4 O 1.65-1.67
Se6 0.3520 0.6037 0.3825  4 O 1.65-1.67
Se7 0.5000 0.0238 0.2500  4 O 1.64-1.67
Se8 0.5000 0.9762 0.7500  4 O 1.64-1.67
Se9 0.6480 0.3963 0.6175  4 O 1.65-1.67
Se10 0.6480 0.6037 0.1175  4 O 1.65-1.67
Se11 0.8520 0.1037 0.1175  4 O 1.65-1.67
Se12 0.8520 0.8963 0.6175  4 O 1.65-1.67
O1 0.0298 0.1822 0.4308  1 Se 1.65
O2 0.0298 0.8178 0.9308  1 Se 1.65
O3 0.0689 0.3676 0.8691  1 Se 1.64
O4 0.0689 0.6324 0.3691  1 Se 1.64
O5 0.0987 0.4199 0.1691  1 Se 1.67
O6 0.0987 0.5801 0.6691  1 Se 1.67
O7 0.1443 0.0864 0.8962  1 Se 1.66
O8 0.1443 0.9136 0.3962  1 Se 1.66
O9 0.1762 0.1308 0.1984  1 Se 1.67
O10 0.1762 0.8692 0.6984  1 Se 1.67
O11 0.2369 0.1829 0.5018  1 Se 1.66
O12 0.2369 0.8171 0.0018  1 Se 1.66
O13 0.2631 0.3171 0.0018  1 Se 1.66
O14 0.2631 0.6829 0.5018  1 Se 1.66
O15 0.3238 0.3692 0.6984  1 Se 1.67
O16 0.3238 0.6308 0.1984  1 Se 1.67
O17 0.3557 0.4136 0.3962  1 Se 1.66
O18 0.3557 0.5864 0.8962  1 Se 1.66
O19 0.4013 0.0801 0.6691  1 Se 1.67
O20 0.4013 0.9199 0.1691  1 Se 1.67
O21 0.4311 0.1324 0.3691  1 Se 1.64
O22 0.4311 0.8676 0.8691  1 Se 1.64
O23 0.4702 0.3178 0.9308  1 Se 1.65
O24 0.4702 0.6822 0.4308  1 Se 1.65
O25 0.5298 0.3178 0.5692  1 Se 1.65
O26 0.5298 0.6822 0.0692  1 Se 1.65
O27 0.5689 0.1324 0.1309  1 Se 1.64
O28 0.5689 0.8676 0.6309  1 Se 1.64
O29 0.5987 0.0801 0.8309  1 Se 1.67
O30 0.5987 0.9199 0.3309  1 Se 1.67
O31 0.6443 0.4136 0.1038  1 Se 1.66
O32 0.6443 0.5864 0.6038  1 Se 1.66
O33 0.6762 0.3692 0.8016  1 Se 1.67
O34 0.6762 0.6308 0.3016  1 Se 1.67
O35 0.7369 0.3171 0.4982  1 Se 1.66
O36 0.7369 0.6829 0.9982  1 Se 1.66
O37 0.7631 0.1829 0.9982  1 Se 1.66
O38 0.7631 0.8171 0.4982  1 Se 1.66
O39 0.8238 0.1308 0.3016  1 Se 1.67
O40 0.8238 0.8692 0.8016  1 Se 1.67
O41 0.8557 0.0864 0.6038  1 Se 1.66
O42 0.8557 0.9136 0.1038  1 Se 1.66
O43 0.9013 0.4199 0.3309  1 Se 1.67
O44 0.9013 0.5801 0.8309  1 Se 1.67
O45 0.9311 0.3676 0.6309  1 Se 1.64
O46 0.9311 0.6324 0.1309  1 Se 1.64
O47 0.9702 0.1822 0.0692  1 Se 1.65
O48 0.9702 0.8178 0.5692  1 Se 1.65

## Properties
symmetry	Pbcn (60)
VASP energy	-5.8002	eV per atom
formation enthalpy at 0 K	-1735	meV per atom
spin magnetization	0.0	Bohr magnetons per cell

A relaxed ZrUAl6 crystal. Source: Materials Project, functional GGA-PBE.

Cell: 4.1746 4.1746 8.3369 Å, 90.00 90.00 90.00°
Last column: nearest neighbours and their distance in Å.
Atoms (fractional coordinates):
Zr1 0.0000 0.0000 0.0000  12 Al 2.94-2.95
U1 0.0000 0.0000 0.5000  12 Al 2.95-2.96
Al1 0.0000 0.5000 0.2486  8 Al 2.94-2.96, 2 Zr 2.94, 2 U 2.96
Al2 0.0000 0.5000 0.7514  8 Al 2.94-2.96, 2 Zr 2.94, 2 U 2.96
Al3 0.5000 0.0000 0.2486  8 Al 2.94-2.96, 2 Zr 2.94, 2 U 2.96
Al4 0.5000 0.0000 0.7514  8 Al 2.94-2.96, 2 Zr 2.94, 2 U 2.96
Al5 0.5000 0.5000 0.0000  8 Al 2.94, 4 Zr 2.95
Al6 0.5000 0.5000 0.5000  4 U 2.95, 8 Al 2.96

## Properties
symmetry	P4/mmm (123)
VASP energy	-5.5983	eV per atom
formation enthalpy at 0 K	-309	meV per atom
spin magnetization	2.1	Bohr magnetons per cell

A relaxed Ga5Pd13 crystal. Source: Materials Project, functional GGA-PBE.

Cell: 12.4768 12.4768 5.5436 Å, 102.39 102.39 18.92°
Last column: nearest neighbours and their distance in Å.
Atoms (fractional coordinates):
Ga1 0.0000 0.0000 0.0000  8 Pd 2.56-2.77
Ga2 0.1059 0.1059 0.6446  7 Pd 2.54-2.70
Ga3 0.3232 0.3232 0.6875  9 Pd 2.61-2.73
Ga4 0.6768 0.6768 0.3125  9 Pd 2.61-2.73
Ga5 0.8941 0.8941 0.3554  7 Pd 2.54-2.70
Pd1 0.0000 0.0000 0.5000  4 Ga 2.56-2.77
Pd2 0.1127 0.1127 0.1242  5 Ga 2.63-2.93, 5 Pd 2.77-2.87
Pd3 0.2125 0.2125 0.5929  4 Ga 2.61-2.70, 6 Pd 2.76-2.88
Pd4 0.2245 0.2245 0.1093  2 Ga 2.73, 10 Pd 2.76-2.87
Pd5 0.3399 0.3399 0.1708  3 Ga 2.54-2.62, 3 Pd 2.79-2.84
Pd6 0.4295 0.4295 0.6267  3 Ga 2.58-2.71, 7 Pd 2.80-2.87
Pd7 0.4550 0.4550 0.1518  2 Ga 2.56, 6 Pd 2.84-2.87
Pd8 0.5450 0.5450 0.8482  2 Ga 2.56, 6 Pd 2.84-2.87
Pd9 0.5705 0.5705 0.3733  3 Ga 2.58-2.71, 7 Pd 2.80-2.87
Pd10 0.6601 0.6601 0.8292  3 Ga 2.54-2.62, 3 Pd 2.79-2.84
Pd11 0.7755 0.7755 0.8907  2 Ga 2.73, 10 Pd 2.76-2.87
Pd12 0.7875 0.7875 0.4071  4 Ga 2.61-2.70, 6 Pd 2.76-2.88
Pd13 0.8873 0.8873 0.8758  5 Ga 2.63-2.93, 5 Pd 2.77-2.87

## Properties
symmetry	C2/m (12)
VASP energy	-5.1315	eV per atom
formation enthalpy at 0 K	-549	meV per atom

A relaxed K2SnS3 crystal. Source: Materials Project, functional GGA-PBE.

Cell: 6.8959 7.6223 8.3768 Å, 75.58 72.62 66.59°
Last column: nearest neighbours and their distance in Å.
Atoms (fractional coordinates):
K1 0.0866 0.2089 0.1263  6 S 3.21-3.59
K2 0.3499 0.5395 0.3068  6 S 3.33-3.58
K3 0.6501 0.4605 0.6932  6 S 3.33-3.58
K4 0.9134 0.7911 0.8737  6 S 3.21-3.59
Sn1 0.3554 0.0641 0.6930  4 S 2.36-2.51
Sn2 0.6446 0.9359 0.3070  4 S 2.36-2.51
S1 0.1565 0.3931 0.7198  1 Sn 2.36
S2 0.2734 0.9549 0.4699  2 Sn 2.48-2.51
S3 0.3659 0.8193 0.9308  1 Sn 2.36
S4 0.6341 0.1807 0.0692  1 Sn 2.36
S5 0.7266 0.0451 0.5301  2 Sn 2.48-2.51
S6 0.8435 0.6069 0.2802  1 Sn 2.36

## Properties
symmetry	P-1 (2)
VASP energy	-4.0272	eV per atom
formation enthalpy at 0 K	-1172	meV per atom

A relaxed SrPm3 crystal. Source: Materials Project, functional GGA-PBE.

Cell: 7.6117 7.6117 6.0282 Å, 90.00 90.00 120.00°
Last column: nearest neighbours and their distance in Å.
Atoms (fractional coordinates):
Sr1 0.3333 0.6667 0.2500  12 Pm 3.78-3.81
Sr2 0.6667 0.3333 0.7500  12 Pm 3.78-3.81
Pm1 0.1600 0.3201 0.7500  8 Pm 3.65-3.96, 4 Sr 3.78-3.81
Pm2 0.1600 0.8400 0.7500  8 Pm 3.65-3.96, 4 Sr 3.78-3.81
Pm3 0.3201 0.1600 0.2500  8 Pm 3.65-3.96, 4 Sr 3.78-3.81
Pm4 0.6799 0.8400 0.7500  8 Pm 3.65-3.96, 4 Sr 3.78-3.81
Pm5 0.8400 0.1600 0.2500  8 Pm 3.65-3.96, 4 Sr 3.78-3.81
Pm6 0.8400 0.6799 0.2500  8 Pm 3.65-3.96, 4 Sr 3.78-3.81

## Properties
symmetry	P6_3/mmc (194)
VASP energy	-3.8251	eV per atom
formation enthalpy at 0 K	160	meV per atom
spin magnetization	0.8	Bohr magnetons per cell